(1)
Compound: Ge2N2O
Source: Materials Project
Functional: PBE
Structure: optimized geometry

a = 5.4668 Å, b = 5.4668 Å, c = 5.4668 Å
α = 147.02°, β = 63.69°, γ = 127.18°
With the nearest neighbours (Å) after each atom.
Positions (direct):
Ge1 0.1739 0.0000 0.1739  1 O 1.79, 3 N 1.85-1.87
Ge2 0.8261 0.0000 0.8261  1 O 1.79, 3 N 1.85-1.87
N1 0.5986 0.2964 0.3022  3 Ge 1.85-1.87
N2 0.9942 0.2964 0.6978  3 Ge 1.85-1.87
O1 0.1578 0.1578 0.0000  2 Ge 1.79

Results
- Space-group type: No. 44
- Final energy: -33.41 eV per cell
- M_tot: 0.00 μB/cell
- DFT formation energy: -646 meV per atom

***

(2)
Compound: Ge2N2O
Source: Materials Project
Functional: PBE
Structure: optimized geometry

a = 5.4688 Å, b = 5.6192 Å, c = 10.4761 Å
α = 89.72°, β = 75.10°, γ = 62.54°
With the nearest neighbours (Å) after each atom.
Positions (direct):
Ge1 0.0000 0.0000 0.0000  1 O 1.79, 3 N 1.86-1.87
Ge2 0.0001 0.4943 0.4974  2 O 1.78-1.87, 2 N 1.83-1.84
Ge3 0.1800 0.0926 0.2454  1 O 1.80, 3 N 1.83-1.85
Ge4 0.2134 0.5858 0.7432  3 N 1.77-1.85, 1 O 1.96
Ge5 0.3208 0.3511 0.9983  1 O 1.79, 3 N 1.84-1.86
Ge6 0.3224 0.8451 0.4987  1 O 1.79, 3 N 1.83-1.85
Ge7 0.8137 0.2286 0.7466  3 N 1.77-1.87
Ge8 0.8334 0.7456 0.2504  1 O 1.80, 3 N 1.86-1.87
N1 0.1090 0.6533 0.9263  3 Ge 1.84-1.86
N2 0.1236 0.1483 0.4253  3 Ge 1.83-1.84
N3 0.1481 0.4082 0.1789  3 Ge 1.84-1.86
N4 0.1489 0.9095 0.6788  3 Ge 1.83-1.85
N5 0.5554 0.3147 0.6583  2 Ge 1.77
N6 0.7101 0.7439 0.4341  3 Ge 1.84-1.87
N7 0.7112 0.2479 0.9326  3 Ge 1.86-1.87
N8 0.9406 0.0013 0.1844  3 Ge 1.85-1.87
O1 0.2833 0.5749 0.4332  2 Ge 1.78-1.79
O2 0.2939 0.0691 0.9371  2 Ge 1.79
O3 0.5396 0.8166 0.1830  2 Ge 1.80
O4 0.9559 0.4933 0.6805  3 Ge 1.87-2.02

Results
- Piezoelectric modulus e_max: 0.7 C/m²
- Space-group type: No. 1
- Final energy: -132.09 eV per cell
- M_tot: 0.00 μB/cell
- DFT formation energy: -569 meV per atom

***

(3)
Compound: Ge11N11O5
Source: Materials Project
Functional: PBE
Structure: optimized geometry

a = 5.9150 Å, b = 5.9150 Å, c = 10.1874 Å
α = 106.64°, β = 106.64°, γ = 60.02°
With the nearest neighbours (Å) after each atom.
Positions (direct):
Ge1 0.0000 0.0000 0.0000  1 O 1.95, 5 N 2.02-2.06
Ge2 0.0097 0.5016 0.0055  2 O 1.97-2.12, 4 N 1.98-2.00
Ge3 0.2497 0.2497 0.2514  6 N 2.03-2.05
Ge4 0.4267 0.4267 0.8061  3 N 1.91-1.94, 1 O 2.02
Ge5 0.5004 0.5004 0.4984  2 O 1.96, 4 N 2.01-2.03
Ge6 0.4996 0.9953 0.4965  2 O 1.96, 4 N 2.00-2.02
Ge7 0.5016 0.0097 0.0055  2 O 1.97-2.12, 4 N 1.98-2.00
Ge8 0.5639 0.5639 0.1852  4 N 1.90-1.92
Ge9 0.7522 0.7522 0.7427  4 O 1.91-2.07, 2 N 1.98
Ge10 0.9382 0.9382 0.3170  4 N 1.91-1.96
Ge11 0.9953 0.4996 0.4965  2 O 1.96, 4 N 2.00-2.02
N1 0.0927 0.6348 0.8746  4 Ge 1.94-2.06
N2 0.1362 0.1362 0.3807  4 Ge 1.91-2.03
N3 0.1372 0.6060 0.3810  4 Ge 1.91-2.03
N4 0.3643 0.8929 0.1186  4 Ge 1.91-2.05
N5 0.3657 0.3657 0.1219  4 Ge 1.92-2.05
N6 0.3669 0.3669 0.6080  4 Ge 1.91-2.03
N7 0.6060 0.1372 0.3810  4 Ge 1.91-2.03
N8 0.6275 0.6275 0.3827  4 Ge 1.90-2.03
N9 0.6348 0.0927 0.8746  4 Ge 1.94-2.06
N10 0.8704 0.8704 0.1135  4 Ge 1.96-2.03
N11 0.8929 0.3643 0.1186  4 Ge 1.91-2.05
O1 0.1356 0.1356 0.9032  3 Ge 1.95-1.97
O2 0.4154 0.8489 0.6157  3 Ge 1.94-1.96
O3 0.6354 0.6354 0.8738  4 Ge 2.02-2.12
O4 0.8489 0.4154 0.6157  3 Ge 1.94-1.96
O5 0.8514 0.8514 0.6131  3 Ge 1.91-1.96

Results
- Space-group type: No. 8
- Final energy: -176.81 eV per cell
- M_tot: 0.00 μB/cell
- DFT formation energy: -480 meV per atom
- E above lowest polymorph: 0 meV per atom